Entry 1:
# Li2MnFeB2O6

A relaxed Li2MnFeB2O6 crystal (PBE with a Hubbard U, Materials Project).

Unit cell a=8.2217 b=8.2217 c=6.3394 alpha=90.00 beta=90.00 gamma=120.00
With the nearest neighbours (Å) after each atom.
Positions (direct):
Li  0.0182  0.3004  0.2471  4 O 1.97-2.00
Li  0.0182  0.3004  0.7529  4 O 1.97-2.00
Li  0.2822  0.9818  0.2471  4 O 1.97-2.00
Li  0.2822  0.9818  0.7529  4 O 1.97-2.00
Li  0.6996  0.7178  0.2471  4 O 1.97-2.00
Li  0.6996  0.7178  0.7529  4 O 1.97-2.00
Mn  0.3708  0.3581  0.5000  5 O 2.10-2.19
Mn  0.6419  0.0127  0.5000  5 O 2.10-2.19
Mn  0.9873  0.6292  0.5000  5 O 2.10-2.19
Fe  0.3720  0.3621  0.0000  5 O 2.04-2.17
Fe  0.6379  0.0098  0.0000  5 O 2.04-2.17
Fe  0.9902  0.6280  0.0000  5 O 2.04-2.17
B  0.0000  0.0000  0.0000  3 O 1.40
B  0.0000  0.0000  0.5000  3 O 1.40
B  0.3333  0.6667  0.2440  3 O 1.39
B  0.3333  0.6667  0.7560  3 O 1.39
B  0.6667  0.3333  0.2464  3 O 1.39
B  0.6667  0.3333  0.7536  3 O 1.39
O  0.0759  0.1944  0.5000  1 B 1.40
O  0.0867  0.1959  0.0000  1 B 1.40
O  0.1092  0.9133  0.0000  1 B 1.40
O  0.1185  0.9241  0.5000  1 B 1.40
O  0.1386  0.5798  0.2458  1 B 1.39
O  0.1386  0.5798  0.7542  1 B 1.39
O  0.4202  0.5589  0.2458  1 B 1.39
O  0.4202  0.5589  0.7542  1 B 1.39
O  0.4411  0.8614  0.2458  1 B 1.39
O  0.4411  0.8614  0.7542  1 B 1.39
O  0.4719  0.2505  0.2474  1 B 1.39
O  0.4719  0.2505  0.7526  1 B 1.39
O  0.7495  0.2213  0.2474  1 B 1.39
O  0.7495  0.2213  0.7526  1 B 1.39
O  0.7787  0.5281  0.2474  1 B 1.39
O  0.7787  0.5281  0.7526  1 B 1.39
O  0.8041  0.8908  0.0000  1 B 1.40
O  0.8056  0.8815  0.5000  1 B 1.40

Computed properties:
Its total energy is -256.44 eV for the cell shown.


Entry 2:
# Li8MnFe7B8O24

A relaxed Li8MnFe7B8O24 crystal (PBE with a Hubbard U, Materials Project).

Unit cell a=5.2453 b=9.0570 c=11.5306 alpha=67.41 beta=77.54 gamma=89.69
With the nearest neighbours (Å) after each atom.
Positions (direct):
Li  0.0000  0.0000  0.0000  4 O 1.94-2.11
Li  0.0248  0.0370  0.2527  4 O 1.93-2.03
Li  0.2643  0.2458  0.4998  4 O 1.95-2.09
Li  0.3097  0.2791  0.7502  4 O 1.92-2.06
Li  0.4990  0.5037  0.9995  4 O 1.95-2.12
Li  0.5285  0.5396  0.2490  4 O 1.93-2.08
Li  0.7699  0.7480  0.4982  4 O 1.97-2.09
Li  0.8089  0.7791  0.7512  4 O 1.93-2.05
Mn  0.0176  0.3463  0.9687  5 O 2.09-2.32
Fe  0.0487  0.7180  0.2167  4 O 2.02-2.25
Fe  0.2816  0.9287  0.4654  4 O 2.02-2.23
Fe  0.3188  0.6305  0.7163  4 O 2.02-2.24
Fe  0.5142  0.8542  0.9644  3 O 2.02-2.09
Fe  0.5437  0.2169  0.2193  3 O 2.01-2.10
Fe  0.7699  0.4328  0.4673  4 O 2.01-2.23
Fe  0.8183  0.1289  0.7156  4 O 2.01-2.24
B  0.0277  0.6834  0.9595  3 O 1.38-1.40
B  0.0565  0.3882  0.2131  3 O 1.39-1.40
B  0.2750  0.5997  0.4598  3 O 1.38-1.40
B  0.3168  0.9723  0.7089  3 O 1.39-1.40
B  0.5252  0.1801  0.9613  3 O 1.38-1.41
B  0.5588  0.8882  0.2110  3 O 1.39-1.40
B  0.7752  0.1015  0.4607  3 O 1.39-1.41
B  0.8193  0.4718  0.7092  3 O 1.39-1.40
O  0.0289  0.6253  0.4315  1 B 1.40
O  0.0556  0.4437  0.7476  1 B 1.39
O  0.1271  0.7921  0.0011  1 B 1.40
O  0.1914  0.8606  0.6788  1 B 1.40
O  0.1934  0.5753  0.9284  1 B 1.40
O  0.2056  0.1150  0.6987  1 B 1.39
O  0.2712  0.1758  0.9467  1 B 1.38
O  0.3262  0.4043  0.2005  1 B 1.39
O  0.3930  0.7052  0.4987  1 B 1.40
O  0.3971  0.9919  0.2494  1 B 1.40
O  0.4019  0.4706  0.4474  1 B 1.38
O  0.4536  0.7703  0.1813  1 B 1.39
O  0.5271  0.1275  0.4324  1 B 1.41
O  0.5526  0.9424  0.7473  1 B 1.39
O  0.6151  0.2910  0.0031  1 B 1.39
O  0.6945  0.0726  0.9312  1 B 1.41
O  0.6951  0.3591  0.6805  1 B 1.39
O  0.7081  0.6160  0.6970  1 B 1.40
O  0.7720  0.6828  0.9471  1 B 1.38
O  0.8281  0.9051  0.1996  1 B 1.39
O  0.8915  0.2051  0.5008  1 B 1.39
O  0.8980  0.4933  0.2503  1 B 1.39
O  0.9032  0.9733  0.4459  1 B 1.39
O  0.9490  0.2700  0.1837  1 B 1.40

Computed properties:
Its total energy is -334.80 eV for the cell shown.


Entry 3:
# Li8MnFe7B8O24

A relaxed Li8MnFe7B8O24 crystal (PBE with a Hubbard U, Materials Project).

Unit cell a=5.9736 b=9.0844 c=9.7130 alpha=81.39 beta=79.05 gamma=75.85
With the nearest neighbours (Å) after each atom.
Positions (direct):
Li  0.0000  0.0000  0.0000  4 O 1.93-2.06
Li  0.0986  0.6253  0.2568  4 O 1.94-2.04
Li  0.2500  0.4974  0.7526  4 O 1.95-2.04
Li  0.3515  0.1237  0.0078  4 O 1.94-2.06
Li  0.4985  0.9989  0.4998  4 O 1.93-2.06
Li  0.6040  0.6211  0.7584  4 O 1.95-2.06
Li  0.7502  0.4981  0.2506  4 O 1.95-2.06
Li  0.8502  0.1228  0.5077  4 O 1.95-2.05
Mn  0.4322  0.6866  0.4860  4 O 2.07-2.22
Fe  0.1708  0.9366  0.2670  4 O 2.01-2.21
Fe  0.1817  0.1834  0.7405  4 O 2.01-2.21
Fe  0.4171  0.4378  0.0275  4 O 2.00-2.19
Fe  0.6681  0.9396  0.7685  4 O 2.00-2.22
Fe  0.6816  0.1815  0.2384  4 O 2.00-2.21
Fe  0.9232  0.4276  0.5217  4 O 2.04-2.20
Fe  0.9305  0.6898  0.9811  4 O 2.03-2.17
B  0.1529  0.2720  0.2674  3 O 1.39-1.41
B  0.1980  0.8500  0.7428  3 O 1.37-1.41
B  0.4062  0.7716  0.0170  3 O 1.38-1.40
B  0.4495  0.3486  0.4917  3 O 1.38-1.40
B  0.6519  0.2718  0.7686  3 O 1.37-1.41
B  0.6988  0.8506  0.2392  3 O 1.38-1.40
B  0.9019  0.7706  0.5169  3 O 1.39-1.40
B  0.9458  0.3510  0.9923  3 O 1.39-1.40
O  0.0051  0.8756  0.8517  1 B 1.41
O  0.0312  0.2090  0.9431  1 B 1.39
O  0.0420  0.1528  0.3246  1 B 1.40
O  0.0567  0.4701  0.9379  1 B 1.39
O  0.0725  0.4154  0.3138  1 B 1.39
O  0.0924  0.7509  0.4071  1 B 1.40
O  0.2584  0.3720  0.6013  1 B 1.40
O  0.2814  0.7074  0.6978  1 B 1.37
O  0.2955  0.6529  0.0738  1 B 1.39
O  0.3070  0.9700  0.6850  1 B 1.40
O  0.3202  0.9139  0.0649  1 B 1.38
O  0.3442  0.2473  0.1578  1 B 1.41
O  0.5066  0.8777  0.3473  1 B 1.40
O  0.5313  0.2061  0.4437  1 B 1.38
O  0.5430  0.1509  0.8242  1 B 1.40
O  0.5636  0.4655  0.4354  1 B 1.39
O  0.5677  0.4125  0.8169  1 B 1.37
O  0.5957  0.7497  0.9068  1 B 1.40
O  0.7549  0.3720  0.1017  1 B 1.40
O  0.7813  0.7082  0.1925  1 B 1.38
O  0.7927  0.6508  0.5709  1 B 1.39
O  0.8110  0.9698  0.1823  1 B 1.40
O  0.8178  0.9126  0.5664  1 B 1.39
O  0.8447  0.2476  0.6595  1 B 1.41

Computed properties:
Its total energy is -334.77 eV for the cell shown.


Which energy relative to the lowest polymorph listed for this composition belongs to each record? In order, 0.019 0.149 0.179 eV per formula unit.
Which ΔH_f (0 K) belongs to each record? In order, -2.42 -2.35 -2.35 eV per atom.